CuAs12P4S12Br (PBE, optimized geometry); final energy = -4.62 eV per atom; space group = P31c; M_tot = 0.00 μB per atom; energy of formation from the pure elements = -0.41 eV/atom
1.0
6.887 -11.928 0.000
6.887 11.928 0.000
0.000 0.000 22.059
As S P Cu Br
48 48 16 4 4
Direct
0.057 0.484 0.695 As
0.890 0.898 0.558 As
0.875 0.384 0.087 As
0.516 0.573 0.695 As
0.393 0.255 0.939 As
0.484 0.057 0.195 As
0.110 0.008 0.058 As
0.137 0.745 0.439 As
0.562 0.906 0.637 As
0.427 0.943 0.695 As
0.452 0.750 0.818 As
0.315 0.889 0.389 As
0.287 0.468 0.333 As
0.750 0.452 0.318 As
0.992 0.102 0.058 As
0.438 0.344 0.137 As
0.490 0.616 0.587 As
0.819 0.532 0.833 As
0.656 0.094 0.137 As
0.685 0.574 0.889 As
0.426 0.111 0.889 As
0.898 0.890 0.058 As
0.616 0.490 0.087 As
0.574 0.685 0.389 As
0.863 0.607 0.939 As
0.943 0.427 0.195 As
0.255 0.393 0.439 As
0.344 0.438 0.637 As
0.297 0.548 0.818 As
0.889 0.315 0.889 As
0.468 0.287 0.833 As
0.703 0.250 0.318 As
0.607 0.863 0.439 As
0.250 0.703 0.818 As
0.102 0.992 0.558 As
0.745 0.137 0.939 As
0.532 0.819 0.333 As
0.181 0.713 0.333 As
0.008 0.110 0.558 As
0.094 0.656 0.637 As
0.510 0.125 0.087 As
0.111 0.426 0.389 As
0.713 0.181 0.833 As
0.125 0.510 0.587 As
0.548 0.297 0.318 As
0.573 0.516 0.195 As
0.384 0.875 0.587 As
0.906 0.562 0.137 As
0.713 0.224 0.418 S
0.041 0.447 0.039 S
0.774 0.081 0.780 S
0.553 0.594 0.039 S
0.919 0.693 0.780 S
0.398 0.318 0.602 S
0.132 0.988 0.658 S
0.224 0.713 0.918 S
0.594 0.553 0.539 S
0.870 0.378 0.681 S
0.026 0.819 0.419 S
0.856 0.868 0.658 S
0.307 0.226 0.780 S
0.693 0.919 0.280 S
0.682 0.080 0.602 S
0.144 0.012 0.158 S
0.006 0.259 0.851 S
0.080 0.682 0.102 S
0.974 0.792 0.919 S
0.920 0.602 0.602 S
0.868 0.856 0.158 S
0.253 0.994 0.851 S
0.130 0.508 0.181 S
0.988 0.132 0.158 S
0.081 0.774 0.280 S
0.792 0.974 0.419 S
0.602 0.920 0.102 S
0.776 0.489 0.418 S
0.012 0.144 0.658 S
0.492 0.622 0.181 S
0.378 0.870 0.181 S
0.747 0.741 0.351 S
0.318 0.398 0.102 S
0.406 0.959 0.039 S
0.741 0.747 0.851 S
0.287 0.511 0.918 S
0.489 0.776 0.918 S
0.511 0.287 0.418 S
0.226 0.307 0.280 S
0.994 0.253 0.351 S
0.208 0.181 0.919 S
0.819 0.026 0.919 S
0.508 0.130 0.681 S
0.447 0.041 0.539 S
0.181 0.208 0.419 S
0.622 0.492 0.681 S
0.959 0.406 0.539 S
0.259 0.006 0.351 S
0.913 0.814 0.836 P
0.428 0.848 0.095 P
0.000 0.000 0.198 P
0.152 0.580 0.095 P
0.087 0.901 0.336 P
0.580 0.152 0.595 P
0.000 0.000 0.698 P
0.333 0.667 0.957 P
0.420 0.572 0.095 P
0.814 0.913 0.336 P
0.099 0.186 0.336 P
0.901 0.087 0.836 P
0.667 0.333 0.457 P
0.186 0.099 0.836 P
0.848 0.428 0.595 P
0.572 0.420 0.595 P
0.000 0.000 0.802 Cu
0.000 0.000 0.302 Cu
0.333 0.667 0.061 Cu
0.667 0.333 0.561 Cu
0.667 0.333 0.941 Br
0.667 0.333 0.182 Br
0.333 0.667 0.682 Br
0.333 0.667 0.441 Br